DFT (GGA-PBE) results for a geometry-optimized HfI4 structure.

Values from the calculation:
The density comes out at 3.511 g/cm³. For the energy of formation, the calculation gives -1187 meV per atom.

Cell: 13.744 13.744 13.744 Å, 90.00 90.00 90.00°
Space group Pa-3 (No. 205)
Inequivalent atoms, fractional coordinates:
Hf 0.126 0.126 0.126 [8 per cell]
I 0.013 0.239 0.015 [24 per cell]
I 0.238 0.238 0.238 [8 per cell]



DFT (GGA-PBE) results for a geometry-optimized LiYF4 structure.

Values from the calculation:
The density comes out at 3.867 g/cm³. Its energy above the most stable polymorph in this dataset is 0.0193 eV/atom. For the energy of formation, the calculation gives -4019 meV per atom.

Cell: 5.134 5.363 5.361 Å, 90.00 90.85 90.00°
Space group P2/c (No. 13)
Inequivalent atoms, fractional coordinates:
Li 0.000 0.243 0.250 [2 per cell]
Y 0.500 0.251 0.750 [2 per cell]
F 0.263 0.063 0.059 [4 per cell]
F 0.264 0.436 0.432 [4 per cell]



DFT (GGA-PBE) results for a geometry-optimized AlHSO5 structure.

Values from the calculation:
The density comes out at 2.895 g/cm³. For the energy of formation, the calculation gives -2262 meV per atom.

Cell: 7.157 7.255 7.075 Å, 90.00 119.00 90.00°
Space group C2/c (No. 15)
Inequivalent atoms, fractional coordinates:
Al 0.000 0.000 0.000 [4 per cell]
H 0.000 0.219 0.250 [4 per cell]
S 0.000 0.369 0.750 [4 per cell]
O 0.000 0.085 0.250 [4 per cell]
O 0.010 0.251 0.583 [8 per cell]
O 0.187 0.492 0.850 [8 per cell]



DFT (GGA-PBE) results for a geometry-optimized Hg3S2Cl2 structure.

Values from the calculation:
The density comes out at 5.951 g/cm³. Its energy above the most stable polymorph in this dataset is 0.0763 eV/atom. For the energy of formation, the calculation gives -630 meV per atom.

Cell: 4.691 9.654 9.079 Å, 90.00 90.00 90.00°
Space group Pmc2_1 (No. 26)
Inequivalent atoms, fractional coordinates:
Hg 0.000 0.018 0.000 [2 per cell]
Hg 0.000 0.283 0.749 [2 per cell]
Hg 0.500 0.280 0.326 [2 per cell]
S 0.000 0.235 0.484 [2 per cell]
S 0.000 0.263 0.007 [2 per cell]
Cl 0.500 0.026 0.252 [2 per cell]
Cl 0.500 0.493 0.707 [2 per cell]



DFT (GGA-PBE) results for a geometry-optimized U7Te12 structure.

Values from the calculation:
The density comes out at 9.482 g/cm³. For the energy of formation, the calculation gives -884 meV per atom.

Cell: 12.4211 12.4211 4.1909 Å, 90.00 90.00 120.00°
Space group P-6 (No. 174)
Inequivalent atoms, fractional coordinates:
U 0.0000 0.0000 0.0000 [1 per cell]
U 0.1597 0.4521 0.5000 [3 per cell]
U 0.4309 0.2759 0.0000 [3 per cell]
Te 0.0088 0.2564 0.0000 [3 per cell]
Te 0.1362 0.6288 0.0000 [3 per cell]
Te 0.2120 0.2086 0.5000 [3 per cell]
Te 0.5247 0.1390 0.5000 [3 per cell]



DFT (GGA-PBE) results for a geometry-optimized Ba4Gd2Cd3S10 structure.

Values from the calculation:
The density comes out at 4.884 g/cm³. For the energy of formation, the calculation gives -1896 meV per atom.

Cell: 4.207 18.200 27.030 Å, 90.00 90.00 90.00°
Space group Cmc2_1 (No. 36)
Inequivalent atoms, fractional coordinates:
Ba 0.000 0.076 0.000 [4 per cell]
Ba 0.000 0.097 0.818 [4 per cell]
Ba 0.000 0.338 0.046 [4 per cell]
Ba 0.000 0.340 0.766 [4 per cell]
Gd 0.000 0.004 0.657 [4 per cell]
Gd 0.000 0.421 0.903 [4 per cell]
Cd 0.000 0.281 0.425 [4 per cell]
Cd 0.000 0.339 0.195 [4 per cell]
Cd 0.000 0.344 0.613 [4 per cell]
S 0.000 0.076 0.336 [4 per cell]
S 0.000 0.090 0.472 [4 per cell]
S 0.000 0.151 0.167 [4 per cell]
S 0.000 0.156 0.638 [4 per cell]
S 0.000 0.268 0.889 [4 per cell]
S 0.000 0.287 0.279 [4 per cell]
S 0.000 0.292 0.525 [4 per cell]
S 0.000 0.426 0.410 [4 per cell]
S 0.000 0.483 0.223 [4 per cell]
S 0.000 0.488 0.586 [4 per cell]



DFT (GGA-PBE) results for a geometry-optimized HfGeRh structure.

Values from the calculation:
The density comes out at 11.800 g/cm³. For the energy of formation, the calculation gives -870 meV per atom.

Cell: 6.6427 6.6427 3.9114 Å, 90.00 90.00 120.00°
Space group P-62m (No. 189)
Inequivalent atoms, fractional coordinates:
Hf 0.0000 0.5782 0.0000 [3 per cell]
Ge 0.0000 0.0000 0.0000 [1 per cell]
Ge 0.3333 0.6667 0.5000 [2 per cell]
Rh 0.0000 0.2486 0.5000 [3 per cell]



DFT (GGA-PBE) results for a geometry-optimized Ho4MnS7 structure.

Values from the calculation:
The density comes out at 5.940 g/cm³. For the energy of formation, the calculation gives -2083 meV per atom.

Cell: 12.514 3.794 11.443 Å, 90.00 104.92 90.00°
Space group Cm (No. 8)
Inequivalent atoms, fractional coordinates:
Ho 0.000 0.000 0.000 [2 per cell]
Ho 0.079 0.500 0.363 [2 per cell]
Ho 0.194 0.500 0.802 [2 per cell]
Ho 0.386 0.000 0.598 [2 per cell]
Mn 0.308 0.500 0.218 [2 per cell]
S 0.033 0.000 0.745 [2 per cell]
S 0.158 0.500 0.021 [2 per cell]
S 0.199 0.000 0.293 [2 per cell]
S 0.230 0.500 0.581 [2 per cell]
S 0.355 0.000 0.847 [2 per cell]
S 0.425 0.000 0.149 [2 per cell]
S 0.449 0.500 0.436 [2 per cell]



DFT (GGA-PBE) results for a geometry-optimized HfBi3 structure.

Values from the calculation:
The density comes out at 11.845 g/cm³. For the energy of formation, the calculation gives 195 meV per atom.

Cell: 4.631 4.631 10.530 Å, 90.00 90.00 90.00°
Space group I4/mmm (No. 139)
Inequivalent atoms, fractional coordinates:
Hf 0.000 0.000 0.000 [2 per cell]
Bi 0.000 0.000 0.500 [2 per cell]
Bi 0.000 0.500 0.250 [4 per cell]



DFT (GGA-PBE) results for a geometry-optimized Cs2KCuF6 structure.

Values from the calculation:
The density comes out at 4.225 g/cm³. For the energy of formation, the calculation gives -2575 meV per atom.

Cell: 9.120 9.120 9.120 Å, 90.00 90.00 90.00°
Space group Fm-3m (No. 225)
Inequivalent atoms, fractional coordinates:
Cs 0.250 0.250 0.250 [8 per cell]
K 0.000 0.000 0.000 [4 per cell]
Cu 0.000 0.000 0.500 [4 per cell]
F 0.000 0.000 0.287 [24 per cell]



DFT (GGA-PBE) results for a geometry-optimized RbSrCl3 structure.

Values from the calculation:
The density comes out at 2.661 g/cm³. For the energy of formation, the calculation gives -2639 meV per atom.

Cell: 7.850 11.223 7.919 Å, 90.00 90.46 90.00°
Space group P2_1/m (No. 11)
Inequivalent atoms, fractional coordinates:
Rb 0.025 0.250 0.007 [2 per cell]
Rb 0.474 0.750 0.510 [2 per cell]
Sr 0.000 0.000 0.500 [2 per cell]
Sr 0.500 0.000 0.000 [2 per cell]
Cl 0.046 0.750 0.571 [2 per cell]
Cl 0.190 0.525 0.192 [4 per cell]
Cl 0.303 0.050 0.698 [4 per cell]
Cl 0.498 0.750 0.922 [2 per cell]



DFT (GGA-PBE) results for a geometry-optimized Be2Fe structure.

Values from the calculation:
The density comes out at 4.769 g/cm³. For the energy of formation, the calculation gives -278 meV per atom.

Cell: 4.1786 4.1786 6.8032 Å, 90.00 90.00 120.00°
Space group P6_3/mmc (No. 194)
Inequivalent atoms, fractional coordinates:
Be 0.0000 0.0000 0.0000 [2 per cell]
Be 0.1704 0.3408 0.2500 [6 per cell]
Fe 0.3333 0.6667 0.5617 [4 per cell]



The highest energy of formation belongs to which entry?
HfBi3



Which value of energy of formation does entry 6 give?
-1896 meV per atom



Which value of energy of formation does entry 1 give?
-1187 meV per atom